# 1
Density functional theory data (PBE+U) for crystalline MgNi2Mo2O8 at its relaxed geometry.

Results
DFT total energy: -6.17 eV per atom
Total magnetization: 2.00 μB per cell
Space group: No. 3
Formation energy: -1.752 eV/atom
Crystal system: monoclinic

CIF file:
```
data_MgNi2Mo2O8
_chemical_formula_sum 'Mg1 Ni2 Mo2 O8'
_symmetry_space_group_name_H-M 'P 1'
_symmetry_Int_Tables_number 1
_cell_length_a 4.858
_cell_length_b 5.099
_cell_length_c 5.895
_cell_angle_alpha 90.00
_cell_angle_beta 90.00
_cell_angle_gamma 88.48
loop_
_symmetry_equiv_pos_as_xyz
'x,y,z'
loop_
_atom_site_label
_atom_site_type_symbol
_atom_site_fract_x
_atom_site_fract_y
_atom_site_fract_z
Mg1 Mg 0.000 0.250 0.615
Ni1 Ni 0.500 0.250 0.649
Ni2 Ni 0.500 0.750 0.355
Mo1 Mo 0.000 0.250 0.151
Mo2 Mo 0.000 0.750 0.847
O1 O 0.750 0.922 0.637
O2 O 0.250 0.578 0.637
O3 O 0.256 0.097 0.380
O4 O 0.744 0.403 0.380
O5 O 0.787 0.933 0.114
O6 O 0.213 0.567 0.114
O7 O 0.220 0.079 0.873
O8 O 0.780 0.421 0.873
```



# 2
Density functional theory data (PBE+U) for crystalline Sr2Ca6TiMn7O24 at its relaxed geometry.

Results
DFT total energy: -7.02 eV per atom
Total magnetization: 21.40 μB per cell
Space group: No. 38
Formation energy: -2.568 eV/atom
Crystal system: orthorhombic

CIF file:
```
data_Sr2Ca6TiMn7O24
_chemical_formula_sum 'Sr2 Ca6 Ti1 Mn7 O24'
_symmetry_space_group_name_H-M 'P 1'
_symmetry_Int_Tables_number 1
_cell_length_a 7.661
_cell_length_b 7.661
_cell_length_c 7.658
_cell_angle_alpha 90.00
_cell_angle_beta 90.00
_cell_angle_gamma 90.01
loop_
_symmetry_equiv_pos_as_xyz
'x,y,z'
loop_
_atom_site_label
_atom_site_type_symbol
_atom_site_fract_x
_atom_site_fract_y
_atom_site_fract_z
Sr1 Sr 0.751 0.249 0.749
Sr2 Sr 0.751 0.249 0.251
Ca1 Ca 0.248 0.247 0.747
Ca2 Ca 0.247 0.753 0.747
Ca3 Ca 0.753 0.752 0.747
Ca4 Ca 0.248 0.247 0.253
Ca5 Ca 0.247 0.753 0.253
Ca6 Ca 0.753 0.752 0.253
Ti1 Ti 0.497 0.503 0.000
Mn1 Mn 0.001 0.999 0.000
Mn2 Mn 0.498 0.000 0.000
Mn3 Mn 0.000 0.502 0.000
Mn4 Mn 0.001 0.999 0.500
Mn5 Mn 0.499 0.999 0.500
Mn6 Mn 0.001 0.501 0.500
Mn7 Mn 0.498 0.502 0.500
O1 O 0.004 0.996 0.750
O2 O 0.496 0.996 0.750
O3 O 0.004 0.504 0.750
O4 O 0.497 0.503 0.747
O5 O 0.004 0.996 0.250
O6 O 0.496 0.996 0.250
O7 O 0.004 0.504 0.250
O8 O 0.497 0.503 0.253
O9 O 0.007 0.250 0.000
O10 O 0.496 0.247 0.000
O11 O 0.001 0.750 0.000
O12 O 0.498 0.753 0.000
O13 O 0.007 0.250 0.500
O14 O 0.493 0.250 0.500
O15 O 0.002 0.750 0.500
O16 O 0.499 0.750 0.500
O17 O 0.250 0.999 0.000
O18 O 0.750 0.993 0.000
O19 O 0.247 0.502 0.000
O20 O 0.753 0.504 0.000
O21 O 0.250 0.998 0.500
O22 O 0.750 0.993 0.500
O23 O 0.250 0.501 0.500
O24 O 0.750 0.507 0.500
```



# 3
Density functional theory data (PBE+U) for crystalline TiFeO3 at its relaxed geometry.

Results
DFT total energy: -8.11 eV per atom
Total magnetization: 0.00 μB per cell
Formation energy: -2.730 eV/atom

CIF file:
```
data_TiFeO3
_chemical_formula_sum 'Ti4 Fe4 O12'
_symmetry_space_group_name_H-M 'P 1'
_symmetry_Int_Tables_number 1
_cell_length_a 5.131
_cell_length_b 5.554
_cell_length_c 8.954
_cell_angle_alpha 106.22
_cell_angle_beta 89.47
_cell_angle_gamma 115.58
loop_
_symmetry_equiv_pos_as_xyz
'x,y,z'
loop_
_atom_site_label
_atom_site_type_symbol
_atom_site_fract_x
_atom_site_fract_y
_atom_site_fract_z
Ti1 Ti 0.283 0.563 0.428
Ti2 Ti 0.784 0.564 0.928
Ti3 Ti 0.216 0.436 0.072
Ti4 Ti 0.717 0.437 0.572
Fe1 Fe 0.968 0.935 0.324
Fe2 Fe 0.032 0.065 0.676
Fe3 Fe 0.468 0.935 0.824
Fe4 Fe 0.532 0.065 0.176
O1 O 0.774 0.266 0.717
O2 O 0.273 0.265 0.217
O3 O 0.313 0.270 0.526
O4 O 0.812 0.271 0.026
O5 O 0.334 0.261 0.890
O6 O 0.834 0.261 0.390
O7 O 0.727 0.735 0.783
O8 O 0.226 0.734 0.283
O9 O 0.188 0.729 0.974
O10 O 0.688 0.730 0.474
O11 O 0.166 0.739 0.610
O12 O 0.666 0.739 0.110
```



# 4
Density functional theory data (PBE+U) for crystalline ScV2O2 at its relaxed geometry.

Results
DFT total energy: -6.96 eV per atom
Total magnetization: 16.07 μB per cell
Space group: No. 141
Formation energy: -1.035 eV/atom
Crystal system: tetragonal

CIF file:
```
data_ScV2O2
_chemical_formula_sum 'Sc4 V8 O8'
_symmetry_space_group_name_H-M 'P 1'
_symmetry_Int_Tables_number 1
_cell_length_a 7.476
_cell_length_b 7.476
_cell_length_c 7.476
_cell_angle_alpha 114.28
_cell_angle_beta 114.28
_cell_angle_gamma 100.24
loop_
_symmetry_equiv_pos_as_xyz
'x,y,z'
loop_
_atom_site_label
_atom_site_type_symbol
_atom_site_fract_x
_atom_site_fract_y
_atom_site_fract_z
Sc1 Sc 0.875 0.125 0.750
Sc2 Sc 0.375 0.125 0.250
Sc3 Sc 0.875 0.625 0.750
Sc4 Sc 0.875 0.125 0.250
V1 V 0.700 0.489 0.211
V2 V 0.277 0.489 0.789
V3 V 0.239 0.527 0.289
V4 V 0.473 0.761 0.711
V5 V 0.050 0.761 0.289
V6 V 0.239 0.950 0.711
V7 V 0.511 0.723 0.211
V8 V 0.511 0.300 0.789
O1 O 0.684 0.341 0.343
O2 O 0.998 0.341 0.657
O3 O 0.091 0.248 0.157
O4 O 0.752 0.909 0.843
O5 O 0.066 0.909 0.157
O6 O 0.091 0.934 0.843
O7 O 0.659 0.002 0.343
O8 O 0.659 0.316 0.657
```



# 5
Density functional theory data (PBE+U) for crystalline Li4VCr3O8 at its relaxed geometry.

Results
DFT total energy: -6.93 eV per atom
Total magnetization: 0.06 μB per cell
Formation energy: -2.425 eV/atom

CIF file:
```
data_Li4VCr3O8
_chemical_formula_sum 'Li8 V2 Cr6 O16'
_symmetry_space_group_name_H-M 'P 1'
_symmetry_Int_Tables_number 1
_cell_length_a 5.949
_cell_length_b 10.322
_cell_length_c 5.951
_cell_angle_alpha 90.07
_cell_angle_beta 119.97
_cell_angle_gamma 73.24
loop_
_symmetry_equiv_pos_as_xyz
'x,y,z'
loop_
_atom_site_label
_atom_site_type_symbol
_atom_site_fract_x
_atom_site_fract_y
_atom_site_fract_z
Li1 Li 0.497 0.250 0.244
Li2 Li 0.497 0.750 0.744
Li3 Li 0.999 0.250 0.248
Li4 Li 0.999 0.750 0.749
Li5 Li 0.499 0.250 0.746
Li6 Li 0.499 0.750 0.246
Li7 Li 0.997 0.250 0.746
Li8 Li 0.997 0.750 0.246
V1 V 0.999 0.500 0.498
V2 V 0.999 0.000 0.998
Cr1 Cr 0.499 0.000 0.998
Cr2 Cr 0.499 0.000 0.498
Cr3 Cr 0.999 0.000 0.498
Cr4 Cr 0.499 0.500 0.498
Cr5 Cr 0.499 0.500 0.998
Cr6 Cr 0.999 0.500 0.998
O1 O 0.740 0.388 0.868
O2 O 0.740 0.888 0.368
O3 O 0.258 0.112 0.628
O4 O 0.258 0.612 0.128
O5 O 0.260 0.114 0.128
O6 O 0.260 0.613 0.628
O7 O 0.242 0.387 0.368
O8 O 0.243 0.886 0.867
O9 O 0.755 0.114 0.624
O10 O 0.756 0.613 0.125
O11 O 0.242 0.387 0.871
O12 O 0.243 0.886 0.372
O13 O 0.755 0.114 0.128
O14 O 0.756 0.613 0.628
O15 O 0.739 0.387 0.367
O16 O 0.739 0.886 0.867
```



# 6
Density functional theory data (PBE+U) for crystalline Si2Sb2Mo13O28 at its relaxed geometry.

Results
DFT total energy: -6.99 eV per atom
Total magnetization: 32.00 μB per cell
Space group: No. 1
Formation energy: -1.711 eV/atom
Crystal system: triclinic

CIF file:
```
data_Si2Sb2Mo13O28
_chemical_formula_sum 'Si2 Sb2 Mo13 O28'
_symmetry_space_group_name_H-M 'P 1'
_symmetry_Int_Tables_number 1
_cell_length_a 5.978
_cell_length_b 8.948
_cell_length_c 12.633
_cell_angle_alpha 86.69
_cell_angle_beta 76.58
_cell_angle_gamma 75.89
loop_
_symmetry_equiv_pos_as_xyz
'x,y,z'
loop_
_atom_site_label
_atom_site_type_symbol
_atom_site_fract_x
_atom_site_fract_y
_atom_site_fract_z
Si1 Si 0.212 0.313 0.000
Si2 Si 0.791 0.684 0.001
Sb1 Sb 0.844 0.999 0.308
Sb2 Sb 0.160 0.000 0.693
Mo1 Mo 0.894 0.622 0.701
Mo2 Mo 0.631 0.352 0.144
Mo3 Mo 0.405 0.377 0.700
Mo4 Mo 0.104 0.377 0.299
Mo5 Mo 0.373 0.646 0.856
Mo6 Mo 0.286 0.000 0.430
Mo7 Mo 0.229 0.646 0.145
Mo8 Mo 0.001 0.999 0.999
Mo9 Mo 0.428 0.000 0.146
Mo10 Mo 0.772 0.353 0.856
Mo11 Mo 0.594 0.622 0.300
Mo12 Mo 0.573 0.999 0.854
Mo13 Mo 0.716 0.999 0.571
O1 O 0.776 0.388 0.269
O2 O 0.140 0.379 0.429
O3 O 0.930 0.348 0.999
O4 O 0.297 0.120 0.000
O5 O 0.858 0.618 0.571
O6 O 0.222 0.611 0.733
O7 O 0.012 0.101 0.571
O8 O 0.990 0.898 0.430
O9 O 0.705 0.878 0.000
O10 O 0.169 0.883 0.127
O11 O 0.268 0.376 0.109
O12 O 0.955 0.610 0.265
O13 O 0.423 0.897 0.571
O14 O 0.707 0.116 0.125
O15 O 0.625 0.621 0.108
O16 O 0.073 0.650 0.001
O17 O 0.296 0.883 0.873
O18 O 0.833 0.115 0.871
O19 O 0.579 0.101 0.430
O20 O 0.185 0.133 0.281
O21 O 0.813 0.866 0.719
O22 O 0.378 0.378 0.893
O23 O 0.459 0.131 0.717
O24 O 0.578 0.377 0.572
O25 O 0.732 0.620 0.893
O26 O 0.539 0.867 0.283
O27 O 0.045 0.389 0.735
O28 O 0.421 0.621 0.428
```



# 7
Density functional theory data (PBE+U) for crystalline LiMnF4 at its relaxed geometry.

Results
DFT total energy: -5.37 eV per atom
Total magnetization: 16.00 μB per cell
Space group: No. 33
Formation energy: -2.835 eV/atom
Crystal system: orthorhombic

CIF file:
```
data_LiMnF4
_chemical_formula_sum 'Li4 Mn4 F16'
_symmetry_space_group_name_H-M 'P 1'
_symmetry_Int_Tables_number 1
_cell_length_a 5.194
_cell_length_b 5.756
_cell_length_c 9.650
_cell_angle_alpha 90.00
_cell_angle_beta 90.00
_cell_angle_gamma 90.00
loop_
_symmetry_equiv_pos_as_xyz
'x,y,z'
loop_
_atom_site_label
_atom_site_type_symbol
_atom_site_fract_x
_atom_site_fract_y
_atom_site_fract_z
Li1 Li 0.005 0.013 0.990
Li2 Li 0.505 0.513 0.510
Li3 Li 0.495 0.013 0.490
Li4 Li 0.995 0.513 0.010
Mn1 Mn 0.535 0.168 0.149
Mn2 Mn 0.035 0.668 0.351
Mn3 Mn 0.965 0.168 0.649
Mn4 Mn 0.465 0.668 0.851
F1 F 0.287 0.771 0.011
F2 F 0.233 0.261 0.060
F3 F 0.858 0.534 0.206
F4 F 0.835 0.017 0.198
F5 F 0.335 0.517 0.302
F6 F 0.358 0.034 0.294
F7 F 0.733 0.761 0.440
F8 F 0.787 0.271 0.489
F9 F 0.213 0.771 0.511
F10 F 0.267 0.261 0.560
F11 F 0.642 0.534 0.706
F12 F 0.665 0.017 0.698
F13 F 0.165 0.517 0.802
F14 F 0.142 0.034 0.794
F15 F 0.767 0.761 0.940
F16 F 0.713 0.271 0.989
```



# 8
Density functional theory data (PBE+U) for crystalline Li9Co7O16 at its relaxed geometry.

Results
DFT total energy: -5.58 eV per atom
Space group: No. 10
Formation energy: -1.712 eV/atom
Crystal system: monoclinic

CIF file:
```
data_Li9Co7O16
_chemical_formula_sum 'Li9 Co7 O16'
_symmetry_space_group_name_H-M 'P 1'
_symmetry_Int_Tables_number 1
_cell_length_a 5.719
_cell_length_b 5.028
_cell_length_c 9.758
_cell_angle_alpha 80.57
_cell_angle_beta 90.00
_cell_angle_gamma 90.00
loop_
_symmetry_equiv_pos_as_xyz
'x,y,z'
loop_
_atom_site_label
_atom_site_type_symbol
_atom_site_fract_x
_atom_site_fract_y
_atom_site_fract_z
Li1 Li 0.253 0.248 0.753
Li2 Li 0.253 0.752 0.247
Li3 Li 0.500 0.755 0.754
Li4 Li 0.500 0.245 0.246
Li5 Li 0.747 0.248 0.753
Li6 Li 0.747 0.752 0.247
Li7 Li 0.000 0.753 0.752
Li8 Li 0.000 0.247 0.248
Li9 Li 0.500 0.000 0.000
Co1 Co 0.000 0.000 0.000
Co2 Co 0.747 0.500 0.000
Co3 Co 0.000 0.500 0.500
Co4 Co 0.253 0.500 0.000
Co5 Co 0.250 0.000 0.500
Co6 Co 0.500 0.500 0.500
Co7 Co 0.750 0.000 0.500
O1 O 0.229 0.855 0.895
O2 O 0.250 0.374 0.380
O3 O 0.500 0.401 0.892
O4 O 0.500 0.875 0.379
O5 O 0.771 0.855 0.895
O6 O 0.750 0.374 0.380
O7 O 0.000 0.364 0.895
O8 O 0.000 0.874 0.380
O9 O 0.250 0.626 0.620
O10 O 0.229 0.145 0.105
O11 O 0.500 0.125 0.621
O12 O 0.500 0.599 0.108
O13 O 0.750 0.626 0.620
O14 O 0.771 0.145 0.105
O15 O 0.000 0.126 0.620
O16 O 0.000 0.636 0.105
```



# 9
Density functional theory data (PBE+U) for crystalline LiCoBO3 at its relaxed geometry.

Results
DFT total energy: -6.70 eV per atom
Total magnetization: 0.00 μB per cell
Formation energy: -2.230 eV/atom

CIF file:
```
data_LiCoBO3
_chemical_formula_sum 'Li6 Co6 B6 O18'
_symmetry_space_group_name_H-M 'P 1'
_symmetry_Int_Tables_number 1
_cell_length_a 6.232
_cell_length_b 8.235
_cell_length_c 8.803
_cell_angle_alpha 62.13
_cell_angle_beta 69.27
_cell_angle_gamma 90.00
loop_
_symmetry_equiv_pos_as_xyz
'x,y,z'
loop_
_atom_site_label
_atom_site_type_symbol
_atom_site_fract_x
_atom_site_fract_y
_atom_site_fract_z
Li1 Li 0.819 0.014 0.363
Li2 Li 0.319 0.014 0.363
Li3 Li 0.993 0.623 0.014
Li4 Li 0.493 0.623 0.014
Li5 Li 0.689 0.363 0.623
Li6 Li 0.189 0.363 0.623
Co1 Co 0.257 0.310 0.985
Co2 Co 0.095 0.705 0.310
Co3 Co 0.398 0.986 0.704
Co4 Co 0.757 0.310 0.985
Co5 Co 0.595 0.705 0.310
Co6 Co 0.898 0.986 0.704
B1 B 0.917 0.667 0.667
B2 B 0.417 0.667 0.667
B3 B 0.500 0.000 0.000
B4 B 0.000 0.000 0.000
B5 B 0.083 0.333 0.333
B6 B 0.583 0.333 0.333
O1 O 0.543 0.195 0.915
O2 O 0.043 0.195 0.915
O3 O 0.903 0.890 0.195
O4 O 0.403 0.890 0.195
O5 O 0.555 0.915 0.890
O6 O 0.055 0.915 0.890
O7 O 0.958 0.556 0.584
O8 O 0.458 0.556 0.584
O9 O 0.820 0.584 0.860
O10 O 0.320 0.584 0.860
O11 O 0.972 0.860 0.556
O12 O 0.472 0.860 0.556
O13 O 0.124 0.220 0.253
O14 O 0.624 0.220 0.253
O15 O 0.986 0.253 0.527
O16 O 0.486 0.253 0.527
O17 O 0.140 0.527 0.220
O18 O 0.640 0.527 0.220
```



# 10
Density functional theory data (PBE+U) for crystalline Li4Ti3Mn2V3O16 at its relaxed geometry.

Results
DFT total energy: -7.62 eV per atom
Total magnetization: 13.00 μB per cell
Space group: No. 1
Formation energy: -2.738 eV/atom
Crystal system: triclinic

CIF file:
```
data_Li4Ti3Mn2V3O16
_chemical_formula_sum 'Li4 Ti3 Mn2 V3 O16'
_symmetry_space_group_name_H-M 'P 1'
_symmetry_Int_Tables_number 1
_cell_length_a 5.945
_cell_length_b 5.953
_cell_length_c 9.935
_cell_angle_alpha 90.36
_cell_angle_beta 90.15
_cell_angle_gamma 119.94
loop_
_symmetry_equiv_pos_as_xyz
'x,y,z'
loop_
_atom_site_label
_atom_site_type_symbol
_atom_site_fract_x
_atom_site_fract_y
_atom_site_fract_z
Li1 Li 0.668 0.329 0.107
Li2 Li 0.997 0.003 0.003
Li3 Li 0.996 0.998 0.501
Li4 Li 0.332 0.664 0.607
Ti1 Ti 0.338 0.166 0.781
Ti2 Ti 0.833 0.662 0.783
Ti3 Ti 0.173 0.830 0.281
Mn1 Mn 0.672 0.337 0.503
Mn2 Mn 0.338 0.673 0.003
V1 V 0.835 0.171 0.789
V2 V 0.663 0.822 0.285
V3 V 0.167 0.332 0.288
O1 O 0.310 0.167 0.392
O2 O 0.511 0.482 0.676
O3 O 0.662 0.337 0.895
O4 O 0.000 0.001 0.685
O5 O 0.002 0.996 0.186
O6 O 0.850 0.688 0.392
O7 O 0.522 0.036 0.677
O8 O 0.967 0.488 0.673
O9 O 0.156 0.849 0.892
O10 O 0.835 0.143 0.389
O11 O 0.037 0.504 0.176
O12 O 0.477 0.967 0.173
O13 O 0.332 0.669 0.395
O14 O 0.143 0.312 0.891
O15 O 0.498 0.527 0.175
O16 O 0.688 0.846 0.892
```



# 11
Density functional theory data (PBE+U) for crystalline CaFeGe2O6 at its relaxed geometry.

Results
DFT total energy: -6.62 eV per atom
Total magnetization: 16.00 μB per cell
Space group: No. 14
Formation energy: -2.321 eV/atom
Crystal system: monoclinic

CIF file:
```
data_CaFeGe2O6
_chemical_formula_sum 'Ca4 Fe4 Ge8 O24'
_symmetry_space_group_name_H-M 'P 1'
_symmetry_Int_Tables_number 1
_cell_length_a 9.264
_cell_length_b 5.364
_cell_length_c 10.417
_cell_angle_alpha 75.28
_cell_angle_beta 90.00
_cell_angle_gamma 90.00
loop_
_symmetry_equiv_pos_as_xyz
'x,y,z'
loop_
_atom_site_label
_atom_site_type_symbol
_atom_site_fract_x
_atom_site_fract_y
_atom_site_fract_z
Ca1 Ca 0.453 0.529 0.274
Ca2 Ca 0.953 0.971 0.726
Ca3 Ca 0.547 0.471 0.726
Ca4 Ca 0.047 0.029 0.274
Fe1 Fe 0.661 0.031 0.236
Fe2 Fe 0.161 0.469 0.764
Fe3 Fe 0.339 0.969 0.764
Fe4 Fe 0.839 0.531 0.236
Ge1 Ge 0.346 0.170 0.044
Ge2 Ge 0.846 0.330 0.956
Ge3 Ge 0.654 0.830 0.956
Ge4 Ge 0.154 0.670 0.044
Ge5 Ge 0.351 0.903 0.485
Ge6 Ge 0.851 0.597 0.515
Ge7 Ge 0.649 0.097 0.515
Ge8 Ge 0.149 0.403 0.485
O1 O 0.246 0.687 0.395
O2 O 0.746 0.813 0.605
O3 O 0.754 0.313 0.605
O4 O 0.254 0.187 0.395
O5 O 0.308 0.826 0.100
O6 O 0.808 0.674 0.900
O7 O 0.692 0.174 0.900
O8 O 0.192 0.326 0.100
O9 O 0.977 0.348 0.419
O10 O 0.477 0.152 0.581
O11 O 0.023 0.652 0.581
O12 O 0.523 0.848 0.419
O13 O 0.013 0.735 0.139
O14 O 0.513 0.765 0.861
O15 O 0.987 0.265 0.861
O16 O 0.487 0.235 0.139
O17 O 0.352 0.258 0.870
O18 O 0.852 0.242 0.130
O19 O 0.648 0.742 0.130
O20 O 0.148 0.758 0.870
O21 O 0.328 0.702 0.648
O22 O 0.828 0.798 0.352
O23 O 0.672 0.298 0.352
O24 O 0.172 0.202 0.648
```